GGA-PBE NaCa2Al2P2H5O11F4, optimized geometry; total energy = -338.6 eV/cell; E_form = -2815 meV/atom; total magnetic moment = 0.000 μB/f.u.; calculated volume = 550.98 Å³/cell
1.0
5.531 0.000 0.000
0.000 10.789 0.000
-2.570 0.000 9.234
Na Ca Al P H O F
2 4 4 4 10 22 8
direct
0.207 0.250 0.186
0.793 0.750 0.814
0.238 0.584 0.643
0.238 0.916 0.643
0.762 0.084 0.357
0.762 0.416 0.357
0.228 0.595 0.242
0.228 0.905 0.242
0.772 0.095 0.758
0.772 0.405 0.758
0.358 0.750 0.991
0.372 0.250 0.544
0.628 0.750 0.456
0.642 0.250 0.009
0.019 0.750 0.348
0.173 0.519 0.937
0.173 0.981 0.937
0.226 0.122 0.891
0.226 0.378 0.891
0.774 0.622 0.109
0.774 0.878 0.109
0.827 0.019 0.063
0.827 0.481 0.063
0.981 0.250 0.652
0.087 0.250 0.472
0.102 0.750 0.269
0.130 0.042 0.854
0.130 0.458 0.854
0.238 0.750 0.825
0.261 0.633 0.056
0.261 0.867 0.056
0.354 0.250 0.970
0.443 0.132 0.644
0.443 0.368 0.644
0.476 0.750 0.571
0.524 0.250 0.429
0.557 0.632 0.356
0.557 0.868 0.356
0.646 0.750 0.030
0.739 0.133 0.944
0.739 0.367 0.944
0.762 0.250 0.175
0.870 0.542 0.146
0.870 0.958 0.146
0.898 0.250 0.731
0.913 0.750 0.528
0.142 0.533 0.404
0.142 0.967 0.404
0.344 0.058 0.217
0.344 0.442 0.217
0.656 0.558 0.783
0.656 0.942 0.783
0.858 0.033 0.596
0.858 0.467 0.596